1.
The following is a DFT calculation (PBE-GGA) of Ca3Sn2S7 after structural relaxation.

```
data_Ca3Sn2S7
_chemical_formula_sum 'Ca12 Sn8 S28'
_cell_length_a 7.062
_cell_length_b 24.420
_cell_length_c 6.992
_cell_angle_alpha 90.00
_cell_angle_beta 90.00
_cell_angle_gamma 90.00
_symmetry_space_group_name_H-M 'C c c m'
_symmetry_Int_Tables_number 66
_symmetry_space_group_name_Hall '-C 2 2c'
loop_
_atom_site_label
_atom_site_fract_x
_atom_site_fract_y
_atom_site_fract_z
Ca1 0.220 0.070 0.000
Ca2 0.250 0.250 0.000
Sn1 0.243 0.142 0.500
S1 0.000 0.174 0.250
S2 0.000 0.377 0.250
S3 0.164 0.044 0.500
S4 0.250 0.250 0.500
```

Excess energy over the best structure of this formula in the dataset ... 279 meV/atom
E ... -217.6 eV for the cell shown
Calculated formation energy ... -1245.2 meV per atom


2.
The following is a DFT calculation (PBE-GGA) of Na14Hf4Mg4Si7S5O48 after structural relaxation.

```
data_Na14Hf4Mg4Si7S5O48
_chemical_formula_sum 'Na42 Hf12 Mg12 Si21 S15 O144'
_cell_length_a 9.148
_cell_length_b 15.836
_cell_length_c 22.407
_cell_angle_alpha 90.14
_cell_angle_beta 90.07
_cell_angle_gamma 90.10
_symmetry_space_group_name_H-M 'P 1'
_symmetry_Int_Tables_number 1
loop_
_symmetry_equiv_pos_as_xyz
'x,y,z'
loop_
_atom_site_label
_atom_site_fract_x
_atom_site_fract_y
_atom_site_fract_z
Na1 0.000 0.000 0.000
Na2 0.003 0.034 0.323
Na3 0.014 0.338 0.658
Na4 0.018 0.720 0.666
Na5 0.135 0.217 0.167
Na6 0.151 0.501 0.494
Na7 0.151 0.535 0.830
Na8 0.156 0.843 0.160
Na9 0.174 0.856 0.827
Na10 0.175 0.200 0.480
Na11 0.212 0.522 0.149
Na12 0.315 0.024 0.405
Na13 0.316 0.370 0.079
Na14 0.318 0.368 0.564
Na15 0.325 0.694 0.743
Na16 0.328 0.031 0.921
Na17 0.331 0.703 0.236
Na18 0.443 0.525 0.656
Na19 0.473 0.857 0.319
Na20 0.475 0.191 0.996
Na21 0.495 0.509 0.000
Na22 0.504 0.888 0.002
Na23 0.507 0.844 0.651
Na24 0.508 0.545 0.329
Na25 0.521 0.210 0.669
Na26 0.622 0.719 0.169
Na27 0.642 0.045 0.835
Na28 0.645 0.342 0.151
Na29 0.648 0.387 0.487
Na30 0.655 0.007 0.495
Na31 0.675 0.692 0.489
Na32 0.677 0.357 0.830
Na33 0.689 0.015 0.154
Na34 0.817 0.870 0.074
Na35 0.821 0.533 0.417
Na36 0.825 0.189 0.240
Na37 0.827 0.193 0.744
Na38 0.836 0.524 0.913
Na39 0.836 0.871 0.576
Na40 0.943 0.020 0.649
Na41 0.979 0.703 0.987
Na42 0.983 0.354 0.322
Hf1 0.314 0.692 0.893
Hf2 0.322 0.363 0.924
Hf3 0.324 0.015 0.556
Hf4 0.330 0.021 0.265
Hf5 0.332 0.027 0.760
Hf6 0.332 0.699 0.392
Hf7 0.820 0.199 0.893
Hf8 0.820 0.527 0.260
Hf9 0.826 0.528 0.768
Hf10 0.828 0.516 0.057
Hf11 0.828 0.862 0.424
Hf12 0.839 0.192 0.392
Mg1 0.315 0.357 0.428
Mg2 0.319 0.360 0.222
Mg3 0.325 0.358 0.742
Mg4 0.325 0.694 0.094
Mg5 0.330 0.697 0.588
Mg6 0.340 0.019 0.056
Mg7 0.814 0.860 0.233
Mg8 0.820 0.195 0.089
Mg9 0.820 0.525 0.554
Mg10 0.829 0.186 0.589
Mg11 0.832 0.857 0.930
Mg12 0.834 0.861 0.722
Si1 0.030 0.354 0.818
Si2 0.116 0.854 0.318
Si3 0.176 0.545 0.997
Si4 0.176 0.843 0.996
Si5 0.177 0.873 0.662
Si6 0.184 0.215 0.325
Si7 0.469 0.543 0.496
Si8 0.470 0.511 0.822
Si9 0.471 0.208 0.825
Si10 0.483 0.841 0.496
Si11 0.483 0.877 0.157
Si12 0.525 0.526 0.159
Si13 0.628 0.030 0.658
Si14 0.669 0.342 0.995
Si15 0.680 0.012 0.324
Si16 0.681 0.043 0.994
Si17 0.683 0.707 0.327
Si18 0.970 0.717 0.826
Si19 0.972 0.343 0.498
Si20 0.975 0.373 0.163
Si21 0.977 0.043 0.496
S1 0.033 0.693 0.496
S2 0.035 0.028 0.156
S3 0.114 0.526 0.657
S4 0.118 0.195 0.995
S5 0.178 0.507 0.327
S6 0.184 0.174 0.658
S7 0.470 0.171 0.158
S8 0.534 0.195 0.496
S9 0.534 0.860 0.824
S10 0.617 0.694 0.994
S11 0.618 0.360 0.326
S12 0.676 0.381 0.658
S13 0.682 0.669 0.658
S14 0.968 0.672 0.158
S15 0.974 0.007 0.825
O1 0.007 0.871 0.375
O2 0.015 0.513 0.320
O3 0.019 0.186 0.942
O4 0.019 0.521 0.604
O5 0.020 0.530 0.712
O6 0.022 0.181 0.658
O7 0.026 0.845 0.257
O8 0.032 0.207 0.050
O9 0.115 0.343 0.756
O10 0.118 0.704 0.551
O11 0.129 0.036 0.211
O12 0.130 0.675 0.157
O13 0.131 0.025 0.103
O14 0.131 0.683 0.443
O15 0.137 0.014 0.819
O16 0.143 0.374 0.873
O17 0.150 0.350 0.491
O18 0.153 0.368 0.161
O19 0.154 0.706 0.831
O20 0.158 0.046 0.498
O21 0.204 0.274 0.267
O22 0.204 0.455 0.380
O23 0.205 0.604 0.658
O24 0.208 0.117 0.997
O25 0.208 0.449 0.658
O26 0.209 0.782 0.052
O27 0.210 0.603 0.936
O28 0.216 0.269 0.987
O29 0.220 0.937 0.606
O30 0.221 0.120 0.711
O31 0.222 0.941 0.319
O32 0.230 0.775 0.330
O33 0.235 0.116 0.317
O34 0.240 0.131 0.604
O35 0.240 0.593 0.333
O36 0.244 0.923 0.722
O37 0.245 0.469 0.273
O38 0.246 0.451 0.986
O39 0.247 0.254 0.387
O40 0.247 0.939 0.996
O41 0.252 0.796 0.935
O42 0.255 0.584 0.054
O43 0.256 0.257 0.662
O44 0.257 0.781 0.658
O45 0.390 0.582 0.555
O46 0.395 0.472 0.763
O47 0.397 0.786 0.157
O48 0.401 0.111 0.824
O49 0.401 0.605 0.833
O50 0.407 0.135 0.103
O51 0.407 0.258 0.883
O52 0.408 0.446 0.485
O53 0.411 0.258 0.166
O54 0.411 0.928 0.216
O55 0.414 0.794 0.436
O56 0.416 0.939 0.496
O57 0.424 0.604 0.438
O58 0.424 0.610 0.159
O59 0.428 0.117 0.210
O60 0.433 0.786 0.828
O61 0.435 0.437 0.163
O62 0.435 0.938 0.821
O63 0.436 0.119 0.499
O64 0.440 0.448 0.880
O65 0.444 0.271 0.489
O66 0.454 0.264 0.765
O67 0.454 0.787 0.555
O68 0.456 0.937 0.099
O69 0.490 0.350 0.988
O70 0.500 0.016 0.321
O71 0.501 0.046 0.994
O72 0.501 0.693 0.334
O73 0.514 0.041 0.717
O74 0.514 0.373 0.661
O75 0.516 0.022 0.601
O76 0.519 0.672 0.658
O77 0.519 0.679 0.941
O78 0.530 0.373 0.380
O79 0.530 0.702 0.049
O80 0.531 0.354 0.271
O81 0.620 0.854 0.769
O82 0.621 0.204 0.551
O83 0.623 0.873 0.878
O84 0.632 0.180 0.444
O85 0.633 0.174 0.158
O86 0.636 0.518 0.101
O87 0.638 0.538 0.217
O88 0.650 0.543 0.497
O89 0.651 0.514 0.819
O90 0.652 0.194 0.832
O91 0.661 0.866 0.163
O92 0.662 0.850 0.490
O93 0.699 0.286 0.054
O94 0.700 0.764 0.268
O95 0.706 0.770 0.987
O96 0.709 0.950 0.383
O97 0.711 0.433 0.605
O98 0.715 0.618 0.997
O99 0.718 0.286 0.330
O100 0.718 0.438 0.323
O101 0.719 0.942 0.663
O102 0.723 0.614 0.710
O103 0.727 0.103 0.934
O104 0.727 0.116 0.658
O105 0.735 0.425 0.712
O106 0.736 0.439 0.995
O107 0.738 0.297 0.935
O108 0.740 0.947 0.984
O109 0.743 0.631 0.604
O110 0.743 0.755 0.666
O111 0.744 0.753 0.388
O112 0.746 0.297 0.656
O113 0.747 0.106 0.336
O114 0.751 0.609 0.325
O115 0.760 0.975 0.266
O116 0.761 0.085 0.052
O117 0.894 0.295 0.439
O118 0.895 0.281 0.159
O119 0.900 0.080 0.555
O120 0.901 0.755 0.161
O121 0.902 0.439 0.497
O122 0.905 0.756 0.886
O123 0.907 0.970 0.771
O124 0.908 0.423 0.222
O125 0.908 0.949 0.486
O126 0.909 0.629 0.104
O127 0.912 0.094 0.831
O128 0.917 0.616 0.818
O129 0.918 0.275 0.830
O130 0.923 0.440 0.817
O131 0.930 0.617 0.211
O132 0.932 0.437 0.106
O133 0.935 0.767 0.489
O134 0.938 0.285 0.557
O135 0.940 0.105 0.157
O136 0.941 0.615 0.498
O137 0.942 0.104 0.438
O138 0.946 0.950 0.158
O139 0.948 0.773 0.766
O140 0.948 0.955 0.878
O141 0.995 0.546 0.999
O142 0.997 0.206 0.332
O143 0.997 0.852 0.990
O144 0.999 0.868 0.661
```

E ... -1663.6 eV for the cell shown
Calculated formation energy ... -2763.4 meV per atom